Compound: PrPt5
Source: Materials Project
Functional: PBE-GGA
Structure: optimized geometry

a = 5.4451 Å, b = 5.4451 Å, c = 4.4358 Å
α = 90.00°, β = 90.00°, γ = 120.00°
With the nearest neighbours (Å) after each atom.
Space group P6/mmm (No. 191)
Symmetry-distinct sites (fractional):
Pr 0.0000 0.0000 0.0000 (multiplicity 1)  18 Pt 3.14-3.51
Pt 0.0000 0.5000 0.5000 (multiplicity 3)  8 Pt 2.72
Pt 0.3333 0.6667 0.0000 (multiplicity 2)  6 Pt 2.72

Computed properties:
Calculated formation energy: -0.696 eV per atom
Crystal system: hexagonal

Compound: Tb2TiO5
Source: Materials Project
Functional: PBE-GGA
Structure: optimized geometry

a = 10.5009 Å, b = 3.7388 Å, c = 11.3377 Å
α = 90.00°, β = 90.00°, γ = 90.00°
With the nearest neighbours (Å) after each atom.
Space group Pnma (No. 62)
Symmetry-distinct sites (fractional):
Tb 0.1133 0.2500 0.2232 (multiplicity 4)  7 O 2.29-2.40
Tb 0.1362 0.2500 0.5562 (multiplicity 4)  7 O 2.36-2.38
Ti 0.1768 0.2500 0.8797 (multiplicity 4)  5 O 1.79-1.98
O 0.0061 0.7500 0.6045 (multiplicity 4)  4 Tb 2.32-2.38
O 0.0112 0.2500 0.8434 (multiplicity 4)  1 Ti 1.79
O 0.2254 0.2500 0.0421 (multiplicity 4)  1 Ti 1.91
O 0.2375 0.7500 0.8828 (multiplicity 4)  2 Ti 1.98
O 0.2397 0.7500 0.2292 (multiplicity 4)  1 Ti 1.92

Computed properties:
Calculated formation energy: -3.879 eV per atom
Energy above the most stable polymorph in this dataset: 0.000 eV/f.u.
Corrected total energy (MP2020 scheme): -291.74 eV for the cell shown
Crystal system: orthorhombic

Number 1: volume 19.0 Å³ per atom, electronic total energy -39.3 eV for the cell shown. Number 2: volume 13.9 Å³ per atom, electronic total energy -278.0 eV for the cell shown.